--- A ---
The following is a DFT calculation (PBE) of LaMgI5 after structural relaxation.

Values from the calculation:
space-group type	Pnma
density	4.56	Mg/m³
calculated volume	291	Å³/f.u.

a = 4.3571 Å, b = 15.2255 Å, c = 17.5256 Å
α = 90.00°, β = 90.00°, γ = 90.00°
Closest atoms and distances in Å follow each position.
Fractional coordinates of all 28 atoms:
1 La 0.7500 0.7443 0.1560  7 I 3.16-3.46
2 La 0.2500 0.2443 0.3440  7 I 3.16-3.46
3 La 0.7500 0.7557 0.6560  7 I 3.16-3.46
4 La 0.2500 0.2557 0.8440  7 I 3.16-3.46
5 Mg 0.7500 0.2381 0.0922  6 I 2.94-2.99
6 Mg 0.2500 0.7381 0.4078  6 I 2.94-2.99
7 Mg 0.7500 0.2619 0.5922  6 I 2.94-2.99
8 Mg 0.2500 0.7619 0.9078  6 I 2.94-2.99
9 I 0.2500 0.3447 0.0256  2 Mg 2.96
10 I 0.2500 0.8631 0.0524  1 Mg 2.97
11 I 0.2500 0.5939 0.1538  2 La 3.16
12 I 0.2500 0.1359 0.1615  2 Mg 2.94
13 I 0.7500 0.3494 0.2329  1 Mg 2.99, 2 La 3.33
14 I 0.2500 0.8494 0.2671  1 Mg 2.99, 2 La 3.33
15 I 0.7500 0.6359 0.3385  2 Mg 2.94
16 I 0.7500 0.0939 0.3462  2 La 3.16
17 I 0.7500 0.3631 0.4476  1 Mg 2.97
18 I 0.7500 0.8447 0.4744  2 Mg 2.96
19 I 0.2500 0.1553 0.5256  2 Mg 2.96
20 I 0.2500 0.6369 0.5524  1 Mg 2.97
21 I 0.2500 0.9061 0.6538  2 La 3.16
22 I 0.2500 0.3641 0.6615  2 Mg 2.94
23 I 0.7500 0.1506 0.7329  1 Mg 2.99, 2 La 3.33
24 I 0.2500 0.6506 0.7671  1 Mg 2.99, 2 La 3.33
25 I 0.7500 0.8641 0.8385  2 Mg 2.94
26 I 0.7500 0.4061 0.8462  2 La 3.16
27 I 0.7500 0.1369 0.9476  1 Mg 2.97
28 I 0.7500 0.6553 0.9744  2 Mg 2.96

--- B ---
The following is a DFT calculation (PBE) of LaMgI5 after structural relaxation.

Values from the calculation:
space-group type	P2_1
density	3.27	Mg/m³
calculated volume	405	Å³/f.u.

a = 15.4037 Å, b = 8.8120 Å, c = 11.9424 Å
α = 87.90°, β = 90.00°, γ = 90.00°
Closest atoms and distances in Å follow each position.
Fractional coordinates of all 28 atoms:
1 La 0.3947 0.0129 0.5896  4 I 2.97-3.28
2 La 0.7892 0.4949 0.1098  4 I 2.97-3.26
3 La 0.2892 0.5051 0.8902  4 I 2.97-3.26
4 La 0.8947 0.9871 0.4104  4 I 2.97-3.28
5 Mg 0.8417 0.0309 0.0551  4 I 2.74-2.86
6 Mg 0.4545 0.4779 0.5978  4 I 2.73-2.83
7 Mg 0.9545 0.5221 0.4022  4 I 2.73-2.83
8 Mg 0.3417 0.9691 0.9449  4 I 2.74-2.86
9 I 0.2621 0.0067 0.4096  1 La 2.97
10 I 0.4943 0.0188 0.8322  1 Mg 2.74
11 I 0.7476 0.1474 0.2391  1 Mg 2.86
12 I 0.5298 0.2489 0.4827  1 Mg 2.74
13 I 0.8079 0.2704 0.9074  1 Mg 2.75
14 I 0.9937 0.2596 0.5225  1 Mg 2.75
15 I 0.3046 0.2238 0.0627  1 Mg 2.75
16 I 0.2894 0.3467 0.6402  1 Mg 2.83
17 I 0.9931 0.4781 0.1829  1 Mg 2.73
18 I 0.0990 0.4619 0.8650  1 La 2.97
19 I 0.5990 0.5381 0.1350  1 La 2.97
20 I 0.4931 0.5219 0.8171  1 Mg 2.73
21 I 0.7894 0.6533 0.3598  1 Mg 2.83
22 I 0.8046 0.7762 0.9373  1 Mg 2.75
23 I 0.4937 0.7404 0.4775  1 Mg 2.75
24 I 0.3079 0.7296 0.0926  1 Mg 2.75
25 I 0.0298 0.7511 0.5173  1 Mg 2.74
26 I 0.2476 0.8526 0.7609  1 Mg 2.86
27 I 0.9943 0.9812 0.1678  1 Mg 2.74
28 I 0.7621 0.9933 0.5904  1 La 2.97

Most stable = A